Na6Mg6Ti2SiS11O48 | PBE | optimized geometry

Results
Electronic total energy in eV/cell: -1399.2
Energy of formation in eV per atom: -2.4003
Size of the total moment in μB per cell: 0.0

a b c (Å): 8.6981 15.0886 22.5063
angles (deg): 89.87 89.91 89.95
Last column: nearest neighbours and their distance in Å.
Space group P1 (No. 1)
Inequivalent atoms, fractional coordinates:
Na1 0.0000 0.0000 0.0000  6 O 2.55-2.60
Na2 0.9996 0.3302 0.1605  6 O 2.46-2.69
Na3 0.0005 0.6659 0.3247  3 O 2.33-2.53
Na4 0.0094 0.6628 0.8399  3 O 2.41-2.47
Na5 0.1325 0.8338 0.4089  5 O 2.35-2.43
Na6 0.3205 0.3441 0.5842  4 O 2.36-2.48
Na7 0.3641 0.3318 0.9166  4 O 2.36-2.41
Na8 0.5002 0.8298 0.1606  6 O 2.47-2.69
Na9 0.5007 0.1651 0.3251  3 O 2.35-2.53
Na10 0.5010 0.8356 0.6641  6 O 2.48-2.64
Na11 0.5029 0.1669 0.8330  6 O 2.52-2.56
Na12 0.5053 0.5073 0.9977  6 O 2.44-2.69
Na13 0.5046 0.5081 0.4985  6 O 2.52-2.63
Na14 0.6327 0.3331 0.4092  5 O 2.36-2.42
Na15 0.6406 0.9936 0.7452  5 O 2.37-2.62
Na16 0.6788 0.6822 0.7541  5 O 2.31-2.53
Na17 0.9923 0.0048 0.5018  6 O 2.41-2.69
Na18 0.9937 0.3277 0.6687  6 O 2.52-2.64
Mg1 0.0015 0.6648 0.9825  6 O 2.06-2.14
Mg2 0.0026 0.3320 0.8157  6 O 2.03-2.12
Mg3 0.0065 0.6669 0.1835  6 O 1.96-2.13
Mg4 0.4992 0.1593 0.4817  6 O 1.98-2.19
Mg5 0.4986 0.4992 0.3489  5 O 1.93-2.16
Mg6 0.4996 0.1671 0.6827  6 O 2.03-2.19
Mg7 0.5007 0.8306 0.8168  6 O 2.01-2.17
Mg8 0.5016 0.8293 0.0164  6 O 2.02-2.14
Mg9 0.5039 0.5004 0.8507  6 O 2.06-2.10
Mg10 0.5045 0.4973 0.6490  6 O 2.01-2.12
Mg11 0.5064 0.1665 0.1836  6 O 1.96-2.13
Mg12 0.5069 0.8333 0.5190  6 O 2.00-2.16
Mg13 0.5087 0.1615 0.9835  6 O 2.02-2.17
Mg14 0.9970 0.0001 0.6463  6 O 1.92-2.15
Mg15 0.9973 0.3294 0.5168  6 O 2.01-2.18
Mg16 0.9971 0.3306 0.0165  6 O 2.02-2.13
Mg17 0.9981 0.6616 0.4795  6 O 2.02-2.16
Mg18 0.9987 0.9988 0.3491  5 O 1.93-2.15
Ti1 0.0001 0.9892 0.8495  3 O 1.78-1.99
Ti2 0.0035 0.6701 0.6849  5 O 1.84-2.06
Ti3 0.0127 0.9916 0.1475  3 O 1.77-1.98
Ti4 0.4949 0.8331 0.3078  1 O 1.78
Ti5 0.5129 0.4926 0.1473  2 O 1.78-1.96
Ti6 0.9943 0.3327 0.3072  1 O 1.77
Si1 0.1396 0.8483 0.2542  4 O 1.58-1.72
Si2 0.6385 0.3486 0.2541  4 O 1.58-1.72
Si3 0.8531 0.8522 0.7455  4 O 1.57-1.69
S1 0.1465 0.4788 0.9154  4 O 1.47-1.50
S2 0.1467 0.1427 0.2494  4 O 1.46-1.52
S3 0.1476 0.1829 0.9153  4 O 1.47-1.50
S4 0.1480 0.5198 0.5824  4 O 1.46-1.49
S5 0.1483 0.8108 0.5802  4 O 1.46-1.54
S6 0.2067 0.1639 0.5817  4 O 1.47-1.51
S7 0.2089 0.8315 0.9152  4 O 1.46-1.54
S8 0.2119 0.4979 0.2494  4 O 1.46-1.53
S9 0.2908 0.9986 0.7489  4 O 1.45-1.51
S10 0.2916 0.3321 0.4171  4 O 1.48-1.50
S11 0.2968 0.6636 0.0827  4 O 1.46-1.52
S12 0.3524 0.6429 0.7477  4 O 1.46-1.51
S13 0.3530 0.3123 0.0821  4 O 1.46-1.54
S14 0.3536 0.3502 0.7488  4 O 1.48-1.49
S15 0.3567 0.0186 0.0832  4 O 1.46-1.55
S16 0.3582 0.9773 0.4157  4 O 1.47-1.52
S17 0.3602 0.6862 0.4162  4 O 1.46-1.52
S18 0.6468 0.6429 0.2494  4 O 1.46-1.52
S19 0.6491 0.0177 0.5828  4 O 1.47-1.49
S20 0.6492 0.9796 0.9143  4 O 1.46-1.53
S21 0.6504 0.3121 0.5812  4 O 1.47-1.50
S22 0.6503 0.6833 0.9152  4 O 1.47-1.49
S23 0.7080 0.3310 0.9153  4 O 1.47-1.50
S24 0.7102 0.6638 0.5829  4 O 1.46-1.53
S25 0.7121 0.9979 0.2494  4 O 1.46-1.52
S26 0.7905 0.8319 0.4160  4 O 1.46-1.50
S27 0.7970 0.4965 0.7470  4 O 1.46-1.53
S28 0.7986 0.1634 0.0832  4 O 1.46-1.51
S29 0.8538 0.8116 0.0830  4 O 1.46-1.55
S30 0.8569 0.5190 0.0835  4 O 1.46-1.55
S31 0.8589 0.1853 0.4151  4 O 1.46-1.52
S32 0.8587 0.4775 0.4156  4 O 1.47-1.51
S33 0.8596 0.1451 0.7493  4 O 1.46-1.52
O1 0.0716 0.1035 0.1957  1 S 1.50
O2 0.0746 0.2342 0.2555  1 S 1.52
O3 0.0781 0.0932 0.9073  1 S 1.49
O4 0.0785 0.4297 0.5792  1 S 1.49
O5 0.0790 0.5682 0.9220  1 S 1.48
O6 0.0787 0.7512 0.2434  1 Si 1.58
O7 0.0797 0.2223 0.9690  1 S 1.47
O8 0.0796 0.8984 0.5879  1 S 1.46
O9 0.0816 0.4383 0.8615  1 S 1.47
O10 0.0820 0.5641 0.6360  1 S 1.49
O11 0.0827 0.8928 0.3141  1 Si 1.58
O12 0.0844 0.7695 0.5265  1 S 1.47
O13 0.1044 0.5711 0.2410  1 S 1.46
O14 0.1046 0.7551 0.9210  1 S 1.47
O15 0.1082 0.0852 0.5879  1 S 1.47
O16 0.1079 0.7523 0.6341  1 S 1.54
O17 0.1101 0.2465 0.5767  1 S 1.51
O18 0.1106 0.9160 0.9087  1 S 1.54
O19 0.1114 0.9166 0.1947  1 Si 1.71, 1 Ti 1.77
O20 0.1165 0.0922 0.3033  1 S 1.46
O21 0.1189 0.4127 0.2559  1 S 1.53
O22 0.1196 0.5725 0.5289  1 S 1.46
O23 0.1211 0.4219 0.9682  1 S 1.48
O24 0.1238 0.2392 0.8623  1 S 1.48
O25 0.1803 0.0113 0.0897  1 S 1.55
O26 0.1812 0.6505 0.7389  1 S 1.51
O27 0.1844 0.3415 0.7541  1 S 1.48
O28 0.1853 0.3252 0.0765  1 S 1.48
O29 0.1888 0.6812 0.4195  1 S 1.49
O30 0.1891 0.9873 0.4103  1 S 1.48
O31 0.1915 0.0110 0.8033  1 S 1.51
O32 0.1914 0.3220 0.3643  1 S 1.48
O33 0.1989 0.9880 0.6957  1 S 1.45
O34 0.2011 0.3416 0.4724  1 S 1.48
O35 0.2019 0.6758 0.1358  1 S 1.46
O36 0.2051 0.6487 0.0287  1 S 1.47
O37 0.3002 0.8204 0.8610  1 S 1.46
O38 0.3006 0.1530 0.5277  1 S 1.47
O39 0.3013 0.5124 0.3032  1 S 1.46
O40 0.3015 0.8471 0.9684  1 S 1.46
O41 0.3040 0.1799 0.6346  1 S 1.48
O42 0.3098 0.4831 0.1960  1 S 1.49
O43 0.3124 0.1526 0.2409  1 S 1.46
O44 0.3184 0.4855 0.9097  1 S 1.50
O45 0.3177 0.5081 0.5888  1 S 1.49
O46 0.3177 0.8141 0.5796  1 S 1.47
O47 0.3186 0.1748 0.9217  1 S 1.50
O48 0.3369 0.8453 0.2585  1 Si 1.72, 1 Ti 1.78
O49 0.3749 0.5899 0.8014  1 S 1.46
O50 0.3785 0.0719 0.0293  1 S 1.47
O51 0.3833 0.4029 0.6939  1 S 1.49
O52 0.3832 0.9204 0.4680  1 S 1.47
O53 0.3846 0.2576 0.1340  1 S 1.46
O54 0.3904 0.7437 0.3620  1 S 1.52
O55 0.3902 0.9191 0.7567  1 S 1.49
O56 0.3910 0.4125 0.4129  1 S 1.49
O57 0.3934 0.0778 0.7464  1 S 1.49
O58 0.3941 0.2525 0.4201  1 S 1.50
O59 0.3977 0.5823 0.0906  1 S 1.52
O60 0.3982 0.7424 0.0766  1 S 1.49
O61 0.4167 0.7333 0.7539  1 S 1.48
O62 0.4186 0.0594 0.1367  1 S 1.46
O63 0.4187 0.9279 0.0770  1 S 1.48
O64 0.4196 0.3929 0.8024  1 S 1.49
O65 0.4213 0.2771 0.0266  1 S 1.48
O66 0.4243 0.7270 0.4695  1 S 1.46
O67 0.4242 0.9316 0.3614  1 S 1.52
O68 0.4262 0.4042 0.0902  1 S 1.54
O69 0.4262 0.6036 0.6950  1 S 1.47
O70 0.4267 0.2614 0.7436  1 S 1.49
O71 0.4274 0.5975 0.4087  1 S 1.47
O72 0.4335 0.0643 0.4189  1 S 1.47
O73 0.5717 0.6033 0.1957  1 S 1.50
O74 0.5736 0.4010 0.5869  1 S 1.50
O75 0.5743 0.7341 0.2553  1 S 1.52
O76 0.5767 0.9287 0.5778  1 S 1.49
O77 0.5780 0.2514 0.2432  1 Si 1.58
O78 0.5786 0.5941 0.9105  1 S 1.49
O79 0.5815 0.2731 0.5265  1 S 1.49
O80 0.5825 0.3927 0.3143  1 Si 1.59
O81 0.5820 0.7276 0.9670  1 S 1.47
O82 0.5828 0.0690 0.9206  1 S 1.47
O83 0.5866 0.0572 0.6386  1 S 1.49
O84 0.5879 0.9408 0.8590  1 S 1.48
O85 0.6035 0.2520 0.9209  1 S 1.50
O86 0.6043 0.4103 0.9099  1 S 1.50
O87 0.6047 0.0713 0.2410  1 S 1.46
O88 0.6106 0.4171 0.1947  1 Si 1.70, 1 Ti 1.78
O89 0.6140 0.0724 0.5302  1 S 1.47
O90 0.6136 0.5843 0.5902  1 S 1.47
O91 0.6165 0.7449 0.5802  1 S 1.47
O92 0.6166 0.5923 0.3034  1 S 1.46
O93 0.6186 0.2578 0.6340  1 S 1.47
O94 0.6190 0.9129 0.2556  1 S 1.52
O95 0.6220 0.7335 0.8590  1 S 1.49
O96 0.6250 0.9241 0.9668  1 S 1.46
O97 0.6719 0.8349 0.7562  1 Si 1.62
O98 0.6800 0.5117 0.0900  1 S 1.55
O99 0.6862 0.8256 0.0765  1 S 1.48
O100 0.6876 0.1483 0.7462  1 S 1.50
O101 0.6879 0.1809 0.4187  1 S 1.49
O102 0.6892 0.4874 0.4108  1 S 1.49
O103 0.6937 0.8212 0.3620  1 S 1.49
O104 0.6971 0.8407 0.4695  1 S 1.46
O105 0.7023 0.1757 0.1359  1 S 1.46
O106 0.7024 0.5175 0.7999  1 S 1.48
O107 0.7030 0.4854 0.6937  1 S 1.46
O108 0.7076 0.1481 0.0290  1 S 1.47
O109 0.8014 0.3190 0.8617  1 S 1.47
O110 0.8012 0.3430 0.9690  1 S 1.47
O111 0.8016 0.0126 0.3031  1 S 1.46
O112 0.8073 0.6517 0.5305  1 S 1.46
O113 0.8104 0.6743 0.6384  1 S 1.53
O114 0.8102 0.9834 0.1959  1 S 1.49
O115 0.8125 0.6524 0.2409  1 S 1.46
O116 0.8183 0.3231 0.5760  1 S 1.47
O117 0.8188 0.0104 0.5851  1 S 1.48
O118 0.8196 0.6750 0.9212  1 S 1.48
O119 0.8238 0.9897 0.9076  1 S 1.53
O120 0.8363 0.3454 0.2582  1 Si 1.72, 1 Ti 1.77
O121 0.8785 0.5719 0.0296  1 S 1.46
O122 0.8778 0.9169 0.6916  1 Si 1.57
O123 0.8818 0.7588 0.1361  1 S 1.46
O124 0.8849 0.4214 0.4681  1 S 1.47
O125 0.8901 0.2438 0.3614  1 S 1.52
O126 0.8905 0.9121 0.4122  1 S 1.49
O127 0.8907 0.0855 0.8025  1 S 1.52
O128 0.8938 0.7522 0.4193  1 S 1.50
O129 0.8965 0.4193 0.7544  1 S 1.46
O130 0.8960 0.5795 0.7393  1 S 1.53
O131 0.8987 0.0821 0.0909  1 S 1.51
O132 0.8990 0.2423 0.0770  1 S 1.48
O133 0.9180 0.4280 0.0779  1 S 1.48
O134 0.9185 0.5598 0.1370  1 S 1.46
O135 0.9233 0.2257 0.4685  1 S 1.46
O136 0.9240 0.2338 0.7581  1 S 1.47
O137 0.9238 0.4323 0.3613  1 S 1.51
O138 0.9253 0.7757 0.0292  1 S 1.46
O139 0.9257 0.1074 0.6954  1 S 1.46
O140 0.9263 0.9044 0.0908  1 S 1.55
O141 0.9266 0.0970 0.4076  1 S 1.47
O142 0.9332 0.5648 0.4192  1 S 1.47
O143 0.9351 0.7515 0.7395  1 Si 1.68, 1 Ti 1.84
O144 0.9345 0.8985 0.8063  1 Si 1.69, 1 Ti 1.78